(1)
# ScSiPt (GGA-PBE, relaxed)
data_ScSiPt
_cell_length_a 6.618
_cell_length_b 4.149
_cell_length_c 7.356
_cell_angle_alpha 90.00
_cell_angle_beta 90.00
_cell_angle_gamma 90.00
_space_group_name_H-M_alt 'P n m a'
_space_group_IT_number 62
_space_group_name_Hall '-P 2ac 2n'
loop_
_atom_site_label
_atom_site_fract_x
_atom_site_fract_y
_atom_site_fract_z
Sc1 0.001 0.250 0.201
Si1 0.193 0.250 0.594
Pt1 0.199 0.750 0.416
# Final energy in eV per atom: -7.13
# Calculated density in g/cm³: 8.82

***

(2)
# Na6NbAl3Si4S2O24 (GGA-PBE, relaxed)
data_Na6NbAl3Si4S2O24
_cell_length_a 8.803
_cell_length_b 8.834
_cell_length_c 21.830
_cell_angle_alpha 89.17
_cell_angle_beta 89.67
_cell_angle_gamma 60.35
_space_group_name_H-M_alt 'P 1'
_space_group_IT_number 1
_space_group_name_Hall 'P 1'
loop_
_atom_site_label
_atom_site_fract_x
_atom_site_fract_y
_atom_site_fract_z
Na1 0.000 0.000 0.000
Na2 0.003 0.626 0.241
Na3 0.013 0.260 0.500
Na4 0.295 0.303 0.665
Na5 0.307 0.670 0.157
Na6 0.318 0.976 0.583
Na7 0.336 0.967 0.076
Na8 0.364 0.639 0.496
Na9 0.378 0.271 0.990
Na10 0.629 0.645 0.997
Na11 0.634 0.010 0.491
Na12 0.652 0.325 0.907
Na13 0.661 0.299 0.408
Na14 0.681 0.930 0.163
Na15 0.690 0.973 0.826
Na16 0.704 0.603 0.323
Na17 0.963 0.982 0.326
Na18 0.994 0.623 0.740
Nb1 0.009 0.638 0.887
Nb2 0.017 0.639 0.390
Nb3 0.332 0.970 0.225
Al1 0.015 0.620 0.598
Al2 0.325 0.981 0.430
Al3 0.328 0.989 0.728
Al4 0.366 0.954 0.930
Al5 0.662 0.335 0.767
Al6 0.667 0.309 0.060
Al7 0.684 0.302 0.269
Al8 0.688 0.284 0.561
Al9 0.986 0.667 0.100
Si1 0.006 0.927 0.501
Si2 0.047 0.260 0.331
Si3 0.295 0.641 0.000
Si4 0.305 0.337 0.501
Si5 0.347 0.253 0.826
Si6 0.352 0.673 0.333
Si7 0.612 0.685 0.826
Si8 0.616 0.985 0.332
Si9 0.687 0.579 0.160
Si10 0.707 0.938 0.997
Si11 0.949 0.027 0.161
Si12 0.957 0.303 0.663
S1 0.003 0.350 0.998
S2 0.053 0.979 0.828
S3 0.381 0.310 0.161
S4 0.383 0.596 0.662
S5 0.676 0.008 0.662
S6 0.713 0.637 0.499
O1 0.017 0.459 0.336
O2 0.033 0.789 0.555
O3 0.034 0.815 0.831
O4 0.036 0.430 0.050
O5 0.131 0.139 0.391
O6 0.132 0.996 0.886
O7 0.152 0.997 0.163
O8 0.156 0.174 0.990
O9 0.159 0.129 0.669
O10 0.161 0.950 0.774
O11 0.165 0.670 0.333
O12 0.168 0.668 0.058
O13 0.172 0.452 0.836
O14 0.173 0.170 0.271
O15 0.173 0.428 0.558
O16 0.184 0.940 0.492
O17 0.199 0.603 0.941
O18 0.205 0.462 0.155
O19 0.206 0.474 0.441
O20 0.206 0.609 0.657
O21 0.303 0.802 0.270
O22 0.304 0.822 0.989
O23 0.307 0.177 0.766
O24 0.324 0.146 0.491
O25 0.365 0.769 0.669
O26 0.369 0.146 0.164
O27 0.371 0.137 0.889
O28 0.375 0.769 0.391
O29 0.462 0.335 0.215
O30 0.464 0.478 0.716
O31 0.487 0.514 0.605
O32 0.488 0.280 0.104
O33 0.489 0.467 0.003
O34 0.495 0.329 0.508
O35 0.504 0.997 0.392
O36 0.507 0.785 0.166
O37 0.512 0.958 0.991
O38 0.513 0.995 0.665
O39 0.515 0.763 0.892
O40 0.516 0.485 0.322
O41 0.519 0.820 0.770
O42 0.525 0.269 0.817
O43 0.538 0.940 0.269
O44 0.539 0.794 0.494
O45 0.636 0.503 0.101
O46 0.643 0.125 0.607
O47 0.645 0.489 0.822
O48 0.648 0.147 0.322
O49 0.689 0.131 0.002
O50 0.690 0.481 0.504
O51 0.696 0.475 0.223
O52 0.698 0.089 0.717
O53 0.796 0.807 0.055
O54 0.802 0.663 0.551
O55 0.812 0.803 0.337
O56 0.813 0.671 0.834
O57 0.819 0.605 0.442
O58 0.831 0.120 0.504
O59 0.831 0.327 0.720
O60 0.832 0.108 0.222
O61 0.832 0.836 0.654
O62 0.836 0.843 0.937
O63 0.842 0.335 0.001
O64 0.856 0.280 0.323
O65 0.856 0.609 0.154
O66 0.860 0.139 0.099
O67 0.869 0.281 0.599
O68 0.873 0.125 0.823
O69 0.966 0.843 0.438
O70 0.972 0.460 0.941
O71 0.983 0.823 0.158
O72 0.986 0.479 0.656
# Final energy in eV per atom: -6.77
# Calculated density in g/cm³: 2.95